The following is a DFT calculation (PBE) of a relaxed structure of Na6Mg4Ga4SiS11O48.

As for the formation energy: -2.215 eV/atom.

The structure in POSCAR format:
```
Na6Mg4Ga4SiS11O48
1.0
17.2245 -0.0147 0.0217
-4.3125 7.4792 0.0094
0.0277 0.0435 22.2837
Na Mg Ga Si S O
18 12 12 3 33 144
Direct
0.8178 0.9962 0.2481
0.9968 0.6363 0.2531
0.3176 0.6460 0.7486
0.8170 0.6431 0.7467
0.9959 0.3583 0.7509
0.6890 0.0004 0.7491
0.9984 0.9982 0.4986
0.5021 0.0024 0.4968
0.0010 0.0013 0.0013
0.5000 0.0000 0.0015
0.3350 0.3133 0.8350
0.8342 0.3240 0.8370
0.3348 0.3352 0.3317
0.8276 0.3456 0.3352
0.1747 0.6698 0.1662
0.6648 0.6552 0.1680
0.1728 0.6880 0.6649
0.6688 0.6696 0.6635
0.4984 0.9994 0.3528
0.8338 0.3278 0.6814
0.3344 0.3363 0.1836
0.8290 0.3396 0.1837
0.3331 0.3327 0.9838
0.8327 0.3325 0.9832
0.8327 0.3333 0.4814
0.1653 0.6633 0.5169
0.6689 0.6691 0.5178
0.1738 0.6727 0.3177
0.1720 0.6834 0.8151
0.6664 0.6663 0.8162
0.9977 0.9868 0.3519
0.9976 0.0047 0.8530
0.4936 0.0084 0.8527
0.9922 0.9950 0.6464
0.4958 0.9982 0.6472
0.9941 0.9917 0.1501
0.4990 0.0008 0.1511
0.3342 0.3148 0.6837
0.3329 0.3313 0.4802
0.1670 0.6681 0.0170
0.6655 0.6669 0.0174
0.6662 0.6533 0.3155
0.8517 0.7043 0.2514
0.3550 0.0042 0.7484
0.8541 0.0003 0.7511
0.1473 0.0052 0.2501
0.6427 0.9962 0.2505
0.3546 0.7088 0.2496
0.0041 0.2921 0.2498
0.4988 0.2904 0.2503
0.1456 0.2850 0.7495
0.6426 0.2881 0.7501
0.0022 0.7156 0.7496
0.4995 0.7091 0.7496
0.4794 0.3339 0.5822
0.9828 0.3341 0.5835
0.1856 0.0424 0.5833
0.6818 0.0362 0.5848
0.3345 0.6194 0.5842
0.8345 0.6287 0.5841
0.4823 0.6322 0.0830
0.9834 0.6311 0.0826
0.3333 0.0360 0.0833
0.8332 0.0365 0.0827
0.1835 0.3315 0.0836
0.6829 0.3324 0.0824
0.3139 0.6662 0.9168
0.8139 0.6668 0.9169
0.0220 0.3748 0.9162
0.5216 0.3749 0.9173
0.1644 0.9603 0.9168
0.6640 0.9598 0.9156
0.3139 0.9638 0.4189
0.8141 0.9616 0.4155
0.1660 0.3673 0.4167
0.6658 0.3725 0.4177
0.0202 0.6687 0.4159
0.5206 0.6640 0.4170
0.1079 0.0372 0.3048
0.6033 0.0278 0.3033
0.4092 0.7925 0.3027
0.9189 0.7956 0.3082
0.4866 0.1821 0.3035
0.9881 0.1803 0.3041
0.1099 0.1747 0.8045
0.6060 0.1695 0.8041
0.4833 0.7890 0.8041
0.9864 0.7946 0.8044
0.4156 0.0420 0.8088
0.9216 0.0478 0.8088
0.3986 0.9563 0.6906
0.8974 0.9536 0.6933
0.0901 0.2040 0.6955
0.5905 0.2073 0.6952
0.0206 0.8267 0.6951
0.5213 0.8259 0.6956
0.3948 0.8200 0.1935
0.8930 0.8402 0.1927
0.0215 0.2167 0.1949
0.5167 0.2144 0.1945
0.0890 0.9692 0.1959
0.5897 0.9694 0.1944
0.4397 0.3653 0.6373
0.9443 0.3573 0.6404
0.2403 0.1233 0.6383
0.7329 0.1138 0.6410
0.3218 0.5129 0.6407
0.8232 0.5290 0.6411
0.4433 0.5228 0.1369
0.9456 0.5257 0.1383
0.3181 0.1141 0.1373
0.8197 0.1123 0.1387
0.2382 0.3621 0.1373
0.7368 0.3622 0.1364
0.2233 0.3031 0.0292
0.7227 0.3036 0.0283
0.4285 0.5531 0.0288
0.9277 0.5478 0.0298
0.3478 0.1434 0.0288
0.8447 0.1464 0.0297
0.2267 0.1563 0.5295
0.7237 0.1486 0.5321
0.3476 0.5329 0.5305
0.8460 0.5408 0.5319
0.4215 0.3011 0.5290
0.9254 0.3051 0.5317
0.2717 0.6986 0.9705
0.7710 0.6976 0.9705
0.0782 0.4612 0.9701
0.5772 0.4575 0.9720
0.1482 0.8481 0.9719
0.6491 0.8462 0.9700
0.2721 0.8554 0.4728
0.7727 0.8492 0.4683
0.1522 0.4463 0.4710
0.6525 0.4564 0.4707
0.0754 0.6926 0.4688
0.5737 0.6884 0.4707
0.0602 0.6464 0.3596
0.5605 0.6329 0.3617
0.2602 0.8884 0.3643
0.7603 0.8817 0.3594
0.1815 0.4763 0.3624
0.6811 0.4825 0.3617
0.0618 0.4775 0.8605
0.5626 0.4804 0.8631
0.1774 0.8788 0.8632
0.6771 0.8806 0.8607
0.2619 0.6413 0.8616
0.7626 0.6422 0.8614
0.0144 0.8375 0.4131
0.5094 0.8216 0.4102
0.4040 0.9854 0.4130
0.9057 0.9821 0.4103
0.0851 0.1856 0.4100
0.5853 0.1943 0.4109
0.0163 0.1956 0.9142
0.5164 0.1955 0.9145
0.0811 0.9750 0.9112
0.5811 0.9748 0.9105
0.4051 0.8306 0.9133
0.9050 0.8307 0.9134
0.4873 0.1700 0.5874
0.9929 0.1703 0.5877
0.0961 0.0276 0.5901
0.5901 0.0207 0.5905
0.4180 0.7971 0.5872
0.9197 0.8092 0.5865
0.4929 0.8148 0.0896
0.9946 0.8141 0.0881
0.4146 0.0155 0.0898
0.9160 0.0215 0.0862
0.0920 0.1695 0.0905
0.5915 0.1699 0.0894
0.3465 0.1846 0.7434
0.8440 0.1781 0.7465
0.2389 0.3200 0.7424
0.7351 0.3154 0.7442
0.4151 0.5355 0.7419
0.9182 0.5384 0.7437
0.3459 0.5309 0.2427
0.8466 0.5139 0.2455
0.4187 0.3080 0.2428
0.9206 0.3024 0.2429
0.2363 0.1622 0.2428
0.7353 0.1499 0.2429
0.3232 0.5072 0.9241
0.8231 0.5071 0.9240
0.4315 0.3525 0.9237
0.9319 0.3535 0.9230
0.2439 0.1389 0.9238
0.7441 0.1380 0.9227
0.3224 0.1470 0.4244
0.8231 0.1403 0.4209
0.2487 0.3495 0.4229
0.7470 0.3564 0.4222
0.4288 0.4981 0.4220
0.9298 0.5106 0.4215
0.1739 0.4955 0.0765
0.6735 0.4961 0.0758
0.0747 0.6492 0.0760
0.5743 0.6521 0.0764
0.2517 0.8523 0.0766
0.7516 0.8532 0.0764
0.1772 0.8651 0.5774
0.6714 0.8568 0.5787
0.2548 0.6392 0.5789
0.7555 0.6525 0.5793
0.0725 0.4943 0.5778
0.5683 0.4930 0.5766
0.1524 0.8385 0.2562
0.6502 0.8314 0.2560
0.2650 0.6927 0.2541
0.7542 0.6958 0.2578
0.0808 0.4756 0.2561
0.5802 0.4723 0.2552
0.1503 0.4613 0.7563
0.6501 0.4641 0.7573
0.0774 0.6815 0.7562
0.5772 0.6838 0.7567
0.2581 0.8228 0.7524
0.7551 0.8227 0.7550
```


The following is a DFT calculation (PBE) of a relaxed structure of Cs3SbF6.

As for the formation energy: -2.846 eV/atom.

The structure in POSCAR format:
```
Cs3SbF6
1.0
0.0000 5.0515 5.0515
5.0515 0.0000 5.0515
5.0515 5.0515 0.0000
Cs Sb F
3 1 6
Direct
0.7500 0.7500 0.7500
0.2500 0.2500 0.2500
0.5000 0.5000 0.5000
0.0000 0.0000 0.0000
0.7809 0.2191 0.2191
0.2191 0.2191 0.7809
0.2191 0.7809 0.7809
0.2191 0.7809 0.2191
0.7809 0.2191 0.7809
0.7809 0.7809 0.2191
```


The following is a DFT calculation (PBE) of a relaxed structure of Gd2Co2I.

As for the formation energy: -0.688 eV/atom.

The structure in POSCAR format:
```
Gd2Co2I
1.0
0.5415 1.9924 3.3899
-3.6760 -0.7689 -1.2846
0.0596 -14.8508 8.7188
Gd Co I
4 4 2
Direct
0.0000 0.0000 0.1034
0.0000 0.0000 0.8966
0.0000 0.0000 0.6034
0.0000 0.0000 0.3966
0.3333 0.6667 0.5016
0.6667 0.3333 0.4984
0.6667 0.3333 0.0016
0.3333 0.6667 0.9984
0.3333 0.6667 0.2500
0.6667 0.3333 0.7500
```


The following is a DFT calculation (PBE) of a relaxed structure of Li3Eu2B3O9.

As for the formation energy: -2.698 eV/atom. As for the polymorph energy (0 for the lowest one): 0.000 eV per atom.

The structure in POSCAR format:
```
Li3Eu2B3O9
1.0
10.4093 0.0000 0.0000
0.0000 6.5388 0.0000
0.0000 2.6082 7.1123
Li Eu B O
6 4 6 18
Direct
0.8082 0.6761 0.4387
0.3082 0.3239 0.5613
0.7969 0.8512 0.7290
0.2969 0.1488 0.2710
0.9168 0.3258 0.7813
0.4168 0.6742 0.2187
0.6144 0.1088 0.9893
0.1144 0.8912 0.0107
0.4539 0.7248 0.7502
0.9539 0.2752 0.2498
0.6599 0.9580 0.3995
0.1599 0.0420 0.6005
0.7218 0.2738 0.5646
0.2218 0.7262 0.4354
0.0127 0.7447 0.6105
0.5127 0.2553 0.3895
0.6518 0.8081 0.5750
0.1518 0.1919 0.4250
0.5475 0.0876 0.3203
0.0475 0.9124 0.6797
0.7630 0.9899 0.2808
0.2630 0.0101 0.7192
0.5862 0.2769 0.5364
0.0862 0.7231 0.4636
0.7667 0.1552 0.7419
0.2667 0.8448 0.2581
0.7984 0.3911 0.4206
0.2984 0.6089 0.5794
0.5110 0.8222 0.9940
0.0110 0.1778 0.0060
0.4931 0.3899 0.9089
0.9931 0.6101 0.0911
0.9043 0.6355 0.6707
0.4043 0.3645 0.3293
```